Material: Ag10Te4Br3
Method: DFT, r2SCAN
State: relaxed

abc: 11.0547 11.0547 13.8173
angles: 90.00 90.00 90.94
Element x y z (fractional)
Ag 0.8290 0.3646 0.1015
Ag 0.3716 0.6284 0.2500
Ag 0.8482 0.3686 0.6328
Ag 0.8482 0.3686 0.8672
Ag 0.4028 0.3140 0.6459
Ag 0.3140 0.4028 0.1459
Ag 0.9373 0.8801 0.7500
Ag 0.1710 0.6354 0.8985
Ag 0.6354 0.1710 0.3985
Ag 0.8579 0.1421 0.7500
Ag 0.3646 0.8290 0.6015
Ag 0.1782 0.0172 0.0742
Ag 0.9828 0.8218 0.4258
Ag 0.4028 0.3140 0.8541
Ag 0.3646 0.8290 0.8985
Ag 0.1518 0.6314 0.1328
Ag 0.6284 0.3716 0.7500
Ag 0.8218 0.9828 0.5742
Ag 0.1199 0.0627 0.7500
Ag 0.1421 0.8579 0.2500
Ag 0.3686 0.8482 0.3672
Ag 0.0172 0.1782 0.5742
Ag 0.6314 0.1518 0.8672
Ag 0.9828 0.8218 0.0742
Ag 0.8801 0.9373 0.2500
Ag 0.3686 0.8482 0.1328
Ag 0.5972 0.6860 0.3541
Ag 0.1518 0.6314 0.3672
Ag 0.3140 0.4028 0.3541
Ag 0.1710 0.6354 0.6015
Ag 0.1782 0.0172 0.4258
Ag 0.6314 0.1518 0.6328
Ag 0.8218 0.9828 0.9258
Ag 0.6860 0.5972 0.6459
Ag 0.6354 0.1710 0.1015
Ag 0.0627 0.1199 0.2500
Ag 0.6860 0.5972 0.8541
Ag 0.0172 0.1782 0.9258
Ag 0.8290 0.3646 0.3985
Ag 0.5972 0.6860 0.1459
Te 0.6897 0.9515 0.7500
Te 0.2976 0.5190 0.7500
Te 0.3811 0.6189 0.4519
Te 0.8843 0.1157 0.4096
Te 0.9515 0.6897 0.2500
Te 0.0485 0.3103 0.7500
Te 0.4810 0.7024 0.7500
Te 0.3103 0.0485 0.2500
Te 0.6189 0.3811 0.5481
Te 0.5190 0.2976 0.2500
Te 0.8843 0.1157 0.0904
Te 0.3811 0.6189 0.0481
Te 0.1157 0.8843 0.9096
Te 0.1157 0.8843 0.5904
Te 0.6189 0.3811 0.9519
Te 0.7024 0.4810 0.2500
Br 0.2491 0.2491 0.5000
Br 0.9011 0.6354 0.7500
Br 0.2491 0.2491 0.0000
Br 0.7509 0.7509 0.5000
Br 0.0989 0.3646 0.2500
Br 0.0000 0.5000 0.5000
Br 0.7509 0.7509 0.0000
Br 0.3646 0.0989 0.7500
Br 0.0000 0.5000 0.0000
Br 0.6354 0.9011 0.2500
Br 0.5000 0.0000 0.5000
Br 0.5000 0.0000 0.0000

Theoretical density: 7195 kg/m³
Symmetry: No. 63
E_tot: -359.052 eV per formula unit